(1)
Computed, not measured: an optimized crystal structure of TaTiC2 at the r²SCAN level of DFT.

Cell lengths 3.1182, 3.1182, 15.2127 Å; angles 90.00, 90.00, 120.00 degrees
Closest atoms and distances in Å follow each position.
Space group R-3m (No. 166, hexagonal axes)
Inequivalent atoms, fractional coordinates:
Ta1 0.0000 0.0000 0.0000 x3  6 C 2.21
Ti1 0.0000 0.0000 0.5000 x3  6 C 2.19
C1 0.0000 0.0000 0.2490 x6  3 Ti 2.19, 3 Ta 2.21

Values from the calculation:
Electronic total energy (eV/atom): -21.232
ΔH_f (0 K) (meV/atom): -876

---

(2)
Computed, not measured: an optimized crystal structure of SiO2 at the r²SCAN level of DFT.

Cell lengths 14.5879, 20.6298, 8.5875 Å; angles 90.00, 90.00, 90.00 degrees
Closest atoms and distances in Å follow each position.
Space group Cmcm (No. 63)
Inequivalent atoms, fractional coordinates:
Si1 0.0000 0.1214 0.0632 x8  4 O 1.60-1.62
Si2 0.0000 0.2717 0.0633 x8  4 O 1.60-1.62
Si3 0.1912 0.0699 0.5636 x16  4 O 1.60-1.61
Si4 0.1932 0.3112 0.5636 x16  4 O 1.60-1.61
O1 0.0000 0.1173 0.2500 x4  2 Si 1.61
O2 0.0000 0.1965 0.0097 x8  2 Si 1.62
O3 0.0000 0.2756 0.2500 x4  2 Si 1.61
O4 0.0891 0.0856 0.5039 x16  2 Si 1.60-1.61
O5 0.0889 0.3076 0.5047 x16  2 Si 1.60-1.61
O6 0.1925 0.0701 0.7500 x8  2 Si 1.60
O7 0.1962 0.3107 0.7500 x8  2 Si 1.60
O8 0.2222 0.0000 0.0000 x8  2 Si 1.61
O9 0.2378 0.3771 0.9996 x16  2 Si 1.60
O10 0.2500 0.2500 0.0000 x8  2 Si 1.61

Values from the calculation:
Electronic total energy (eV/atom): -9.927
ΔH_f (0 K) (meV/atom): -3021

---

(3)
Computed, not measured: an optimized crystal structure of Al5Co2 at the r²SCAN level of DFT.

Cell lengths 7.6047, 7.6047, 7.5140 Å; angles 90.00, 90.00, 120.00 degrees
Closest atoms and distances in Å follow each position.
Space group P6_3/mmc (No. 194)
Inequivalent atoms, fractional coordinates:
Al1 0.0000 0.0000 0.0000 x2  6 Co 2.52, 6 Al 2.60
Al2 0.0637 0.5319 0.2500 x6  3 Co 2.39-2.62
Al3 0.1940 0.3879 0.5608 x12  2 Co 2.32-2.50, 1 Al 2.60
Co1 0.1270 0.2540 0.2500 x6  10 Al 2.39-2.66
Co2 0.3333 0.6667 0.7500 x2  6 Al 2.32

Values from the calculation:
Electronic total energy (eV/atom): -9.018
ΔH_f (0 K) (meV/atom): -428

---

(4)
Computed, not measured: an optimized crystal structure of Ca3AlSb3 at the r²SCAN level of DFT.

Cell lengths 12.9383, 4.5134, 14.3334 Å; angles 90.00, 90.00, 90.00 degrees
Closest atoms and distances in Å follow each position.
Space group Pnma (No. 62)
Inequivalent atoms, fractional coordinates:
Ca1 0.0593 0.2500 0.1110 x4  6 Sb 3.17-3.44
Ca2 0.1508 0.7500 0.4960 x4  6 Sb 3.17-3.42
Ca3 0.2283 0.7500 0.7796 x4  5 Sb 3.13-3.24, 2 Al 3.26
Al1 0.0676 0.2500 0.7032 x4  4 Sb 2.71-2.76
Sb1 0.0394 0.2500 0.3501 x4  2 Al 2.76
Sb2 0.1131 0.2500 0.8894 x4  1 Al 2.73
Sb3 0.2445 0.7500 0.1193 x4  1 Al 2.71

Values from the calculation:
Electronic total energy (eV/atom): -16.001
ΔH_f (0 K) (meV/atom): -1006

---

(5)
Computed, not measured: an optimized crystal structure of Tb2Sc3Si4 at the r²SCAN level of DFT.

Cell lengths 7.0997, 14.0045, 7.4135 Å; angles 90.00, 90.00, 90.00 degrees
Closest atoms and distances in Å follow each position.
Space group Pnma (No. 62)
Inequivalent atoms, fractional coordinates:
Tb1 0.0119 0.0975 0.1757 x8  6 Si 2.94-3.06
Sc1 0.1626 0.7500 0.5028 x4  6 Si 2.78-3.01
Sc2 0.1703 0.1255 0.6767 x8  6 Si 2.74-2.86
Si1 0.0336 0.7500 0.1166 x4  1 Si 2.54, 5 Sc 2.74-2.78
Si2 0.1571 0.5388 0.4650 x8  1 Si 2.54, 3 Sc 2.75-2.82
Si3 0.2143 0.2500 0.3736 x4  1 Si 2.54, 1 Sc 2.83

Values from the calculation:
Electronic total energy (eV/atom): -15.526
ΔH_f (0 K) (meV/atom): -888

---

(6)
Computed, not measured: an optimized crystal structure of CeB2Ir3 at the r²SCAN level of DFT.

Cell lengths 5.5691, 5.5691, 3.0493 Å; angles 90.00, 90.00, 120.00 degrees
Closest atoms and distances in Å follow each position.
Space group P6/mmm (No. 191)
Inequivalent atoms, fractional coordinates:
Ce1 0.0000 0.0000 0.0000 x1  2 Ce 3.05, 12 Ir 3.17, 6 B 3.22
B1 0.3333 0.6667 0.0000 x2  6 Ir 2.22
Ir1 0.0000 0.5000 0.5000 x3  4 B 2.22

Values from the calculation:
Electronic total energy (eV/atom): -34.532
ΔH_f (0 K) (meV/atom): -764

---

(7)
Computed, not measured: an optimized crystal structure of Sm3Si2Ni at the r²SCAN level of DFT.

Cell lengths 11.5586, 4.1732, 11.5555 Å; angles 90.00, 90.00, 90.00 degrees
Closest atoms and distances in Å follow each position.
Space group Pnma (No. 62)
Inequivalent atoms, fractional coordinates:
Sm1 0.0615 0.2500 0.1252 x4  1 Ni 2.88, 4 Si 3.04-3.05
Sm2 0.1166 0.7500 0.5575 x4  3 Ni 2.98-3.05, 5 Si 3.00-3.07
Sm3 0.2132 0.2500 0.8033 x4  2 Ni 2.86, 4 Si 2.98-3.11
Si1 0.0289 0.7500 0.3135 x4  2 Ni 2.46
Si2 0.1998 0.7500 0.9912 x4  1 Ni 2.46
Ni1 0.1289 0.2500 0.3649 x4  3 Si 2.46

Values from the calculation:
Electronic total energy (eV/atom): -20.535
ΔH_f (0 K) (meV/atom): -747

---

(8)
Computed, not measured: an optimized crystal structure of NdPaO4 at the r²SCAN level of DFT.

Cell lengths 5.4908, 5.4908, 10.8412 Å; angles 90.00, 90.00, 90.00 degrees
Closest atoms and distances in Å follow each position.
Space group I4_1/amd (No. 141, origin choice 2)
Inequivalent atoms, fractional coordinates:
Nd1 0.0000 0.2500 0.3750 x4  8 O 2.43
Pa1 0.0000 0.2500 0.8750 x4  8 O 2.31
O1 0.2304 0.0000 0.0000 x16  2 Pa 2.31, 2 Nd 2.43, 1 O 2.53

Values from the calculation:
Electronic total energy (eV/atom): -25.677
ΔH_f (0 K) (meV/atom): -3983

---

(9)
Computed, not measured: an optimized crystal structure of Hf3ZnN at the r²SCAN level of DFT.

Cell lengths 3.3054, 11.2042, 8.7435 Å; angles 90.00, 90.00, 90.00 degrees
Closest atoms and distances in Å follow each position.
Space group Cmcm (No. 63)
Inequivalent atoms, fractional coordinates:
Hf1 0.0000 0.0481 0.2500 x4  2 N 2.25
Hf2 0.0000 0.3716 0.0467 x8  2 N 2.23
Zn1 0.0000 0.2538 0.7500 x4  8 Hf 2.77-2.91
N1 0.0000 0.0000 0.0000 x4  6 Hf 2.23-2.25

Values from the calculation:
Electronic total energy (eV/atom): -31.717
ΔH_f (0 K) (meV/atom): -1018

---

(10)
Computed, not measured: an optimized crystal structure of UGa5Ni at the r²SCAN level of DFT.

Cell lengths 4.2403, 4.2403, 6.7572 Å; angles 90.00, 90.00, 90.00 degrees
Closest atoms and distances in Å follow each position.
Space group P4/mmm (No. 123)
Inequivalent atoms, fractional coordinates:
U1 0.0000 0.0000 0.0000 x1  12 Ga 2.97-3.00
Ga1 0.0000 0.5000 0.3073 x4  2 Ni 2.49, 1 Ga 2.60
Ga2 0.5000 0.5000 0.0000 x1  8 Ga 2.97, 4 U 3.00
Ni1 0.0000 0.0000 0.5000 x1  8 Ga 2.49

Values from the calculation:
Electronic total energy (eV/atom): -21.704
ΔH_f (0 K) (meV/atom): -399

---

(11)
Computed, not measured: an optimized crystal structure of HfCoP at the r²SCAN level of DFT.

Cell lengths 6.2325, 3.6495, 7.0356 Å; angles 90.00, 90.00, 90.00 degrees
Closest atoms and distances in Å follow each position.
Space group Pnma (No. 62)
Inequivalent atoms, fractional coordinates:
Hf1 0.0198 0.2500 0.1835 x4  5 P 2.62-2.65, 6 Co 2.74-2.94
Co1 0.1387 0.2500 0.5621 x4  4 P 2.28-2.42
P1 0.2272 0.7500 0.3853 x4  4 Co 2.28-2.42

Values from the calculation:
Electronic total energy (eV/atom): -23.574
ΔH_f (0 K) (meV/atom): -1112

---

(12)
Computed, not measured: an optimized crystal structure of Nd3Al11 at the r²SCAN level of DFT.

Cell lengths 4.3631, 9.9743, 12.9578 Å; angles 90.00, 90.00, 90.00 degrees
Closest atoms and distances in Å follow each position.
Space group Immm (No. 71)
Inequivalent atoms, fractional coordinates:
Nd1 0.0000 0.0000 0.0000 x2  16 Al 3.26-3.58
Nd2 0.0000 0.0000 0.3172 x4  12 Al 3.19-3.22
Al1 0.0000 0.2153 0.5000 x4  6 Al 2.64-2.81
Al2 0.0000 0.2745 0.1359 x8  6 Al 2.63-2.86
Al3 0.0000 0.3681 0.3340 x8  5 Al 2.63-2.73
Al4 0.0000 0.5000 0.0000 x2  8 Al 2.86-3.06

Values from the calculation:
Electronic total energy (eV/atom): -12.004
ΔH_f (0 K) (meV/atom): -410

---

(13)
Computed, not measured: an optimized crystal structure of LiTm2Ru at the r²SCAN level of DFT.

Cell lengths 6.8127, 6.8127, 6.8127 Å; angles 90.00, 90.00, 90.00 degrees
Closest atoms and distances in Å follow each position.
Space group Fm-3m (No. 225)
Inequivalent atoms, fractional coordinates:
Li1 0.0000 0.0000 0.0000 x4  8 Tm 2.95
Tm1 0.2500 0.2500 0.2500 x8  4 Li 2.95, 4 Ru 2.95
Ru1 0.0000 0.0000 0.5000 x4  8 Tm 2.95

Values from the calculation:
Electronic total energy (eV/atom): -24.857
ΔH_f (0 K) (meV/atom): -344

---

(14)
Computed, not measured: an optimized crystal structure of K2TiF6 at the r²SCAN level of DFT.

Cell lengths 5.6851, 5.6851, 4.5902 Å; angles 90.00, 90.00, 120.00 degrees
Closest atoms and distances in Å follow each position.
Space group P-3m1 (No. 164)
Inequivalent atoms, fractional coordinates:
K1 0.3333 0.6667 0.1978 x2  12 F 2.76-2.98
Ti1 0.0000 0.0000 0.5000 x1  6 F 1.88
F1 0.1584 0.3168 0.7277 x6  1 Ti 1.88

Values from the calculation:
Electronic total energy (eV/atom): -8.353
ΔH_f (0 K) (meV/atom): -3494

---

(15)
Computed, not measured: an optimized crystal structure of InCuPt2 at the r²SCAN level of DFT.

Cell lengths 4.0481, 4.0481, 3.7769 Å; angles 90.00, 90.00, 90.00 degrees
Closest atoms and distances in Å follow each position.
Space group P4/mmm (No. 123)
Inequivalent atoms, fractional coordinates:
In1 0.0000 0.0000 0.0000 x1  8 Pt 2.77, 4 Cu 2.86
Cu1 0.5000 0.5000 0.0000 x1  8 Pt 2.77, 4 In 2.86
Pt1 0.0000 0.5000 0.5000 x2  4 In 2.77, 4 Cu 2.77, 4 Pt 2.86

Values from the calculation:
Electronic total energy (eV/atom): -34.528
ΔH_f (0 K) (meV/atom): -428

---

(16)
Computed, not measured: an optimized crystal structure of Na2O at the r²SCAN level of DFT.

Cell lengths 5.0491, 5.3120, 3.6298 Å; angles 90.00, 90.00, 90.00 degrees
Closest atoms and distances in Å follow each position.
Space group Pnnm (No. 58)
Inequivalent atoms, fractional coordinates:
Na1 0.1755 0.2029 0.0000 x4  3 O 2.27-2.29
O1 0.0000 0.0000 0.5000 x2  6 Na 2.27-2.29

Values from the calculation:
Electronic total energy (eV/atom): -5.687
ΔH_f (0 K) (meV/atom): -1321